1.
# MgFe2P2O8

Crystalline MgFe2P2O8 at its relaxed geometry (PBE+U, Materials Project).

Lattice parameters (Å, degrees): 8.880 8.880 16.548 118.56 118.56 33.57
Sites, in units of the cell vectors:
Mg 0.059 0.642 0.876
Mg 0.358 0.941 0.624
Mg 0.642 0.059 0.376
Mg 0.941 0.358 0.124
Fe 0.000 0.500 0.000
Fe 0.075 0.925 0.750
Fe 0.106 0.704 0.534
Fe 0.296 0.894 0.966
Fe 0.500 0.000 0.500
Fe 0.704 0.106 0.034
Fe 0.894 0.296 0.466
Fe 0.925 0.075 0.250
P 0.013 0.564 0.644
P 0.278 0.680 0.389
P 0.320 0.722 0.111
P 0.436 0.987 0.856
P 0.564 0.013 0.144
P 0.680 0.278 0.889
P 0.722 0.320 0.611
P 0.987 0.436 0.356
O 0.068 0.529 0.739
O 0.073 0.761 0.419
O 0.105 0.657 0.644
O 0.147 0.691 0.041
O 0.158 0.737 0.290
O 0.175 0.285 0.572
O 0.225 0.300 0.901
O 0.239 0.927 0.081
O 0.263 0.842 0.210
O 0.285 0.175 0.072
O 0.300 0.225 0.401
O 0.309 0.853 0.459
O 0.343 0.895 0.856
O 0.368 0.570 0.895
O 0.430 0.632 0.605
O 0.471 0.932 0.761
O 0.529 0.068 0.239
O 0.570 0.368 0.395
O 0.632 0.430 0.105
O 0.657 0.105 0.144
O 0.691 0.147 0.541
O 0.700 0.775 0.599
O 0.715 0.825 0.928
O 0.737 0.158 0.790
O 0.761 0.073 0.919
O 0.775 0.700 0.099
O 0.825 0.715 0.428
O 0.842 0.263 0.710
O 0.853 0.309 0.959
O 0.895 0.343 0.356
O 0.927 0.239 0.581
O 0.932 0.471 0.261

Relative energy among the computed polymorphs, eV/atom: 0.000
DFT total energy, eV/atom: -7.034


2.
# Li6Cr3FeP6O24

Crystalline Li6Cr3FeP6O24 at its relaxed geometry (PBE+U, Materials Project).

Lattice parameters (Å, degrees): 8.537 8.577 8.577 61.57 61.54 61.56
Sites, in units of the cell vectors:
Li 0.000 0.000 0.000
Li 0.095 0.505 0.898
Li 0.277 0.855 0.644
Li 0.500 0.697 0.298
Li 0.724 0.356 0.144
Li 0.901 0.103 0.490
Cr 0.106 0.706 0.503
Cr 0.391 0.996 0.787
Cr 0.609 0.212 0.003
Fe 0.897 0.499 0.296
P 0.000 0.306 0.696
P 0.207 0.100 0.185
P 0.301 0.602 0.098
P 0.499 0.391 0.607
P 0.701 0.903 0.397
P 0.792 0.814 0.898
O 0.016 0.262 0.216
O 0.058 0.464 0.665
O 0.139 0.540 0.136
O 0.157 0.111 0.715
O 0.187 0.938 0.378
O 0.219 0.055 0.026
O 0.271 0.657 0.260
O 0.296 0.773 0.916
O 0.337 0.586 0.583
O 0.379 0.141 0.145
O 0.452 0.229 0.635
O 0.492 0.444 0.076
O 0.511 0.921 0.555
O 0.548 0.364 0.769
O 0.620 0.853 0.858
O 0.660 0.419 0.412
O 0.702 0.085 0.226
O 0.735 0.740 0.340
O 0.780 0.973 0.943
O 0.816 0.620 0.058
O 0.844 0.282 0.890
O 0.863 0.869 0.456
O 0.939 0.338 0.537
O 0.983 0.786 0.733

DFT total energy, eV/atom: -6.970


3.
# TiCrO3

Crystalline TiCrO3 at its relaxed geometry (PBE+U, Materials Project).

Lattice parameters (Å, degrees): 5.393 7.614 5.118 90.00 90.00 90.00
Sites, in units of the cell vectors:
Ti 0.000 0.000 0.000
Ti 0.000 0.500 0.000
Ti 0.500 0.000 0.500
Ti 0.500 0.500 0.500
Cr 0.078 0.250 0.489
Cr 0.422 0.750 0.989
Cr 0.578 0.250 0.011
Cr 0.922 0.750 0.511
O 0.054 0.750 0.132
O 0.205 0.570 0.697
O 0.205 0.930 0.697
O 0.295 0.070 0.197
O 0.295 0.430 0.197
O 0.446 0.250 0.632
O 0.554 0.750 0.368
O 0.705 0.570 0.803
O 0.705 0.930 0.803
O 0.795 0.070 0.303
O 0.795 0.430 0.303
O 0.946 0.250 0.868

DFT total energy, eV/atom: -8.441


4.
# Li9Mn2Co5O16

Crystalline Li9Mn2Co5O16 at its relaxed geometry (PBE+U, Materials Project).

Lattice parameters (Å, degrees): 5.813 5.872 8.293 91.02 90.17 90.64
Sites, in units of the cell vectors:
Li 0.000 0.000 0.000
Li 0.001 0.499 0.501
Li 0.003 0.996 0.498
Li 0.242 0.240 0.260
Li 0.244 0.747 0.736
Li 0.495 0.997 0.992
Li 0.498 0.494 0.499
Li 0.753 0.244 0.260
Li 0.757 0.751 0.737
Mn 0.496 0.493 0.001
Mn 0.753 0.751 0.256
Co 0.240 0.236 0.736
Co 0.245 0.753 0.258
Co 0.500 0.994 0.498
Co 0.753 0.243 0.734
Co 0.998 0.495 0.995
O 0.000 0.489 0.746
O 0.005 0.016 0.759
O 0.256 0.266 0.004
O 0.256 0.724 0.021
O 0.266 0.760 0.479
O 0.270 0.228 0.504
O 0.490 0.482 0.768
O 0.497 0.000 0.732
O 0.503 0.973 0.261
O 0.514 0.508 0.235
O 0.734 0.233 0.512
O 0.736 0.268 0.988
O 0.736 0.729 0.012
O 0.737 0.758 0.483
O 0.984 0.981 0.243
O 0.994 0.528 0.254

Relative energy among the computed polymorphs, eV/atom: 0.037
DFT total energy, eV/atom: -5.818


5.
# Mg3VO4

Crystalline Mg3VO4 at its relaxed geometry (PBE+U, Materials Project).

Lattice parameters (Å, degrees): 4.309 4.309 4.309 90.00 90.00 90.00
Sites, in units of the cell vectors:
Mg 0.000 0.000 0.500
Mg 0.000 0.500 0.000
Mg 0.500 0.000 0.000
V 0.500 0.500 0.500
O 0.000 0.000 0.000
O 0.000 0.500 0.500
O 0.500 0.000 0.500
O 0.500 0.500 0.000

DFT total energy, eV/atom: -6.439


6.
# La2ZnMoO6

Crystalline La2ZnMoO6 at its relaxed geometry (PBE+U, Materials Project).

Lattice parameters (Å, degrees): 5.651 5.651 5.651 61.69 61.69 61.69
Sites, in units of the cell vectors:
La 0.249 0.249 0.249
La 0.751 0.751 0.751
Zn 0.500 0.500 0.500
Mo 0.000 0.000 0.000
O 0.154 0.756 0.339
O 0.244 0.661 0.846
O 0.339 0.154 0.756
O 0.661 0.846 0.244
O 0.756 0.339 0.154
O 0.846 0.244 0.661

DFT total energy, eV/atom: -7.311


7.
# KLaNiWO6

Crystalline KLaNiWO6 at its relaxed geometry (PBE+U, Materials Project).

Lattice parameters (Å, degrees): 5.643 5.643 5.643 60.00 60.00 60.00
Sites, in units of the cell vectors:
K 0.000 0.000 0.000
La 0.500 0.500 0.500
Ni 0.250 0.250 0.250
W 0.750 0.750 0.750
O 0.507 0.507 0.993
O 0.507 0.993 0.507
O 0.507 0.993 0.993
O 0.993 0.507 0.507
O 0.993 0.507 0.993
O 0.993 0.993 0.507

DFT total energy, eV/atom: -6.748


8.
# Mn2P3O12

Crystalline Mn2P3O12 at its relaxed geometry (PBE+U, Materials Project).

Lattice parameters (Å, degrees): 8.785 8.785 8.785 55.34 55.34 55.34
Sites, in units of the cell vectors:
Mn 0.143 0.143 0.143
Mn 0.350 0.350 0.350
Mn 0.650 0.650 0.650
Mn 0.857 0.857 0.857
P 0.037 0.461 0.749
P 0.251 0.963 0.539
P 0.461 0.749 0.037
P 0.539 0.251 0.963
P 0.749 0.037 0.461
P 0.963 0.539 0.251
O 0.009 0.619 0.800
O 0.114 0.869 0.747
O 0.131 0.253 0.886
O 0.167 0.525 0.211
O 0.177 0.492 0.531
O 0.200 0.991 0.381
O 0.211 0.167 0.525
O 0.253 0.886 0.131
O 0.381 0.200 0.991
O 0.469 0.823 0.508
O 0.475 0.789 0.833
O 0.492 0.531 0.177
O 0.508 0.469 0.823
O 0.525 0.211 0.167
O 0.531 0.177 0.492
O 0.619 0.800 0.009
O 0.747 0.114 0.869
O 0.789 0.833 0.475
O 0.800 0.009 0.619
O 0.823 0.508 0.469
O 0.833 0.475 0.789
O 0.869 0.747 0.114
O 0.886 0.131 0.253
O 0.991 0.381 0.200

DFT total energy, eV/atom: -7.063